Entry from the Materials Project: a geometry-optimized Li14Ce5Si11N19O7F2 structure (GGA-PBE).

Calculated values
For the formation energy, the calculation gives -1.712 eV per atom. As for the total energy: -812.98 eV for the cell shown.

a b c (Å): 7.6952 10.0961 17.2485
angles (deg): 90.00 90.00 90.00
With the nearest neighbours (Å) after each atom.
Positions (direct):
Si 0.0451 0.3029 0.0643  4 N 1.73-1.78
Si 0.2500 0.5216 0.8421  3 N 1.71, 1 O 1.73
Si 0.7500 0.4784 0.1579  3 N 1.70-1.71, 1 O 1.73
Si 0.7500 0.7409 0.2502  2 O 1.70, 2 N 1.73
Si 0.2500 0.7713 0.4331  1 O 1.70, 3 N 1.71
Si 0.0451 0.3029 0.4358  4 N 1.73-1.78
Si 0.9549 0.6971 0.9358  4 N 1.73-1.78
Si 0.5451 0.6971 0.5643  4 N 1.73-1.78
Si 0.7500 0.9186 0.6485  4 N 1.72-1.76
Si 0.2500 0.0814 0.1485  4 N 1.72-1.76
Si 0.4549 0.3029 0.0643  4 N 1.73-1.78
Si 0.4549 0.3029 0.4358  4 N 1.73-1.78
Si 0.2500 0.2591 0.7502  2 O 1.70, 2 N 1.73
Si 0.7500 0.2289 0.5669  1 O 1.70, 3 N 1.70-1.71
Si 0.2500 0.5216 0.6579  3 N 1.70-1.71, 1 O 1.73
Si 0.9549 0.6971 0.5643  4 N 1.73-1.78
Si 0.7500 0.9183 0.8516  4 N 1.72-1.76
Si 0.7500 0.4784 0.3421  3 N 1.71, 1 O 1.73
Si 0.5451 0.6971 0.9358  4 N 1.73-1.78
Si 0.2500 0.0817 0.3516  4 N 1.72-1.76
Si 0.7500 0.2287 0.9331  1 O 1.70, 3 N 1.71
Si 0.2500 0.7711 0.0669  1 O 1.70, 3 N 1.70-1.71
Li 0.9117 0.9894 0.3271  2 F 1.97-2.09, 1 O 1.99
Li 0.0883 0.0106 0.8271  2 F 1.97-2.09, 1 O 1.99
Li 0.9032 0.9868 0.1714  2 O 2.00-2.02, 1 F 2.10
Li 0.5022 0.6234 0.3845  1 O 2.04, 3 N 2.07-2.11
Li 0.4032 0.0132 0.6714  2 O 2.00-2.02, 1 F 2.10
Li 0.9969 0.6239 0.1152  1 O 2.05, 3 N 2.07-2.11
Li 0.7500 0.4567 0.0125  1 N 2.06
Li 0.7500 0.7558 0.0658  1 O 1.99, 2 N 2.05-2.20
Li 0.0022 0.3766 0.8845  1 O 2.04, 3 N 2.07-2.11
Li 0.7500 0.5276 0.6480  2 O 1.94-1.95, 1 N 2.16
Li 0.2500 0.4719 0.3519  2 O 1.94-1.95, 1 N 2.15
Li 0.2500 0.4724 0.1480  2 O 1.94-1.95, 1 N 2.16
Li 0.7500 0.5281 0.8519  2 O 1.94-1.95, 1 N 2.15
Li 0.0031 0.3761 0.6152  1 O 2.05, 3 N 2.07-2.11
Li 0.4117 0.0106 0.8271  2 F 1.97-2.09, 1 O 1.99
Li 0.5031 0.6239 0.1152  1 O 2.05, 3 N 2.07-2.11
Li 0.2500 0.5433 0.5125  1 N 2.06
Li 0.2500 0.2442 0.5658  1 O 1.99, 2 N 2.05-2.20
Li 0.7500 0.7510 0.4359  1 F 2.02, 2 N 2.04-2.14
Li 0.5968 0.9868 0.1714  2 O 2.00-2.02, 1 F 2.10
Li 0.7500 0.4551 0.4876  1 N 2.07
Li 0.9978 0.6234 0.3845  1 O 2.04, 3 N 2.07-2.11
Li 0.4969 0.3761 0.6152  1 O 2.05, 3 N 2.07-2.11
Li 0.5883 0.9894 0.3271  2 F 1.97-2.09, 1 O 1.99
Li 0.2500 0.2490 0.9359  1 F 2.02, 2 N 2.04-2.14
Li 0.4978 0.3766 0.8845  1 O 2.04, 3 N 2.07-2.11
Li 0.2500 0.5449 0.9876  1 N 2.07
Li 0.0968 0.0132 0.6714  2 O 2.00-2.02, 1 F 2.10
Ce 0.4887 0.0022 0.5043  1 O 2.29
Ce 0.5113 0.9978 0.0043  1 O 2.29
Ce 0.0113 0.0022 0.5043  1 O 2.29
Ce 0.5111 0.7280 0.7500  2 O 2.19-2.45
Ce 0.2500 0.8154 0.2500  4 O 2.38-2.51, 1 N 2.52
Ce 0.9889 0.7280 0.7500  2 O 2.19-2.45
Ce 0.9887 0.9978 0.0043  1 O 2.29
Ce 0.4889 0.2720 0.2500  2 O 2.19-2.45
Ce 0.7500 0.1846 0.7500  4 O 2.38-2.51, 1 N 2.52
Ce 0.0111 0.2720 0.2500  2 O 2.19-2.45
O 0.2500 0.0484 0.5786  3 Li 1.99-2.02
O 0.7500 0.4102 0.2499  2 Si 1.73
O 0.0736 0.1571 0.7505  1 Si 1.70
O 0.2500 0.3903 0.2499  2 Li 1.94
O 0.7500 0.6097 0.7499  2 Li 1.94
O 0.7500 0.3345 0.6436  1 Si 1.70
O 0.4264 0.1571 0.7505  1 Si 1.70
O 0.5736 0.8429 0.2505  1 Si 1.70
O 0.7500 0.3349 0.8566  1 Si 1.70
O 0.2500 0.6651 0.3566  1 Si 1.70
O 0.2500 0.5898 0.7499  2 Si 1.73
O 0.7500 0.9516 0.0786  3 Li 1.99-2.02
O 0.2500 0.6655 0.1436  1 Si 1.70
O 0.9264 0.8429 0.2505  1 Si 1.70
N 0.9419 0.8422 0.6224  2 Si 1.73-1.78
N 0.9437 0.2547 0.9791  2 Si 1.71-1.73
N 0.9424 0.2563 0.5207  2 Si 1.70-1.73
N 0.2500 0.9278 0.1052  2 Si 1.71-1.72
N 0.5581 0.8422 0.6224  2 Si 1.73-1.78
N 0.2500 0.3617 0.4585  2 Si 1.73
N 0.4437 0.7453 0.4791  2 Si 1.71-1.73
N 0.9395 0.4240 0.1178  2 Si 1.70-1.73
N 0.5563 0.2547 0.9791  2 Si 1.71-1.73
N 0.2500 0.3616 0.0411  2 Si 1.73
N 0.7500 0.6383 0.9585  2 Si 1.73
N 0.2500 0.0655 0.2501  2 Si 1.76
N 0.7500 0.0723 0.8944  2 Si 1.71-1.72
N 0.7500 0.6384 0.5411  2 Si 1.73
N 0.4424 0.7437 0.0207  2 Si 1.70-1.73
N 0.7500 0.0722 0.6052  2 Si 1.71-1.72
N 0.0581 0.1578 0.1224  2 Si 1.73-1.78
N 0.4426 0.1567 0.3784  2 Si 1.73-1.78
N 0.2500 0.9277 0.3944  2 Si 1.71-1.72
N 0.7500 0.6475 0.3344  2 Si 1.71-1.73
N 0.4419 0.1578 0.1224  2 Si 1.73-1.78
N 0.5576 0.2563 0.5207  2 Si 1.70-1.73
N 0.9426 0.8433 0.8784  2 Si 1.73-1.78
N 0.9399 0.4237 0.3817  2 Si 1.71-1.74
N 0.0601 0.5763 0.8817  2 Si 1.71-1.74
N 0.5605 0.4240 0.1178  2 Si 1.70-1.73
N 0.5601 0.4237 0.3817  2 Si 1.71-1.74
N 0.0563 0.7453 0.4791  2 Si 1.71-1.73
N 0.0574 0.1567 0.3784  2 Si 1.73-1.78
N 0.4399 0.5763 0.8817  2 Si 1.71-1.74
N 0.2500 0.3525 0.8344  2 Si 1.71-1.73
N 0.0576 0.7437 0.0207  2 Si 1.70-1.73
N 0.0605 0.5760 0.6178  2 Si 1.70-1.73
N 0.7500 0.9345 0.7501  2 Si 1.76
N 0.2500 0.3526 0.6662  2 Si 1.71-1.73
N 0.7500 0.6474 0.1662  2 Si 1.71-1.73
N 0.5574 0.8433 0.8784  2 Si 1.73-1.78
N 0.4395 0.5760 0.6178  2 Si 1.70-1.73
F 0.7500 0.9466 0.4122  3 Li 1.97-2.02
F 0.2500 0.9070 0.7510  4 Li 2.09-2.10
F 0.7500 0.0930 0.2510  4 Li 2.09-2.10
F 0.2500 0.0534 0.9122  3 Li 1.97-2.02